Entry 1:
# meta-GGA r2SCAN EuFeGe2O7, optimized geometry
# ΔE_f = -2.10 eV per atom
data_EuFeGe2O7
_chemical_formula_sum 'Eu4 Fe4 Ge8 O28'
_cell_length_a 7.2542
_cell_length_b 6.6057
_cell_length_c 12.9203
_cell_angle_alpha 90.00
_cell_angle_beta 117.28
_cell_angle_gamma 90.00
_space_group_name_H-M_alt 'P 1 21/c 1'
_space_group_IT_number 14
_space_group_name_Hall '-P 2ybc'
loop_
_atom_site_label
_atom_site_fract_x
_atom_site_fract_y
_atom_site_fract_z
_atom_site_occupancy
Eu1 0.2412 0.1456 0.4768 1
Fe1 0.2090 0.1003 0.7308 1
Ge1 0.2160 0.6583 0.4586 1
Ge2 0.3006 0.5887 0.7226 1
O1 0.0098 0.6658 0.9241 1
O2 0.1574 0.6860 0.1917 1
O3 0.2027 0.0515 0.8734 1
O4 0.2195 0.1136 0.2796 1
O5 0.2575 0.5058 0.5809 1
O6 0.4081 0.6737 0.9761 1
O7 0.4303 0.1226 0.6927 1



Entry 2:
# meta-GGA r2SCAN BaSi12Pt5, optimized geometry
# ΔE_f = -0.50 eV per atom
data_BaSi12Pt5
_chemical_formula_sum 'Ba4 Si48 Pt20'
_cell_length_a 6.1426
_cell_length_b 32.5970
_cell_length_c 6.1213
_cell_angle_alpha 90.00
_cell_angle_beta 90.20
_cell_angle_gamma 90.00
_space_group_name_H-M_alt 'C 1 2/m 1'
_space_group_IT_number 12
_space_group_name_Hall '-C 2y'
loop_
_atom_site_label
_atom_site_fract_x
_atom_site_fract_y
_atom_site_fract_z
_atom_site_occupancy
Ba1 0.0000 0.1247 0.0000 1
Si1 0.0015 0.3612 0.2188 1
Si2 0.1363 0.2212 0.8660 1
Si3 0.1379 0.2831 0.6304 1
Si4 0.2188 0.1383 0.5006 1
Si5 0.2464 0.4600 0.2530 1
Si6 0.2468 0.4600 0.7474 1
Pt1 0.0000 0.0000 0.0000 1
Pt2 0.0000 0.0755 0.5000 1
Pt3 0.0000 0.2027 0.5000 1
Pt4 0.0000 0.2960 0.0000 1
Pt5 0.0000 0.4241 0.0000 1
Pt6 0.0000 0.5000 0.5000 1



Entry 3:
# meta-GGA r2SCAN LiYSe2, optimized geometry
# ΔE_f = -1.97 eV per atom
data_LiYSe2
_chemical_formula_sum 'Li3 Y3 Se6'
_cell_length_a 4.0593
_cell_length_b 4.0593
_cell_length_c 19.3617
_cell_angle_alpha 90.00
_cell_angle_beta 90.00
_cell_angle_gamma 120.00
_space_group_name_H-M_alt 'R -3 m'
_space_group_IT_number 166
_space_group_name_Hall '-R 3 2"'
loop_
_atom_site_label
_atom_site_fract_x
_atom_site_fract_y
_atom_site_fract_z
_atom_site_occupancy
Li1 0.0000 0.0000 0.0000 1
Y1 0.0000 0.0000 0.5000 1
Se1 0.0000 0.0000 0.2511 1



Entry 4:
# meta-GGA r2SCAN Li2GeF6, optimized geometry
# ΔE_f = -2.95 eV per atom
# E above lowest polymorph = 0.5 kJ/mol of atoms
data_Li2GeF6
_chemical_formula_sum 'Li6 Ge3 F18'
_cell_length_a 8.3334
_cell_length_b 8.3334
_cell_length_c 4.5355
_cell_angle_alpha 90.00
_cell_angle_beta 90.00
_cell_angle_gamma 120.00
_space_group_name_H-M_alt 'P 3 2 1'
_space_group_IT_number 150
_space_group_name_Hall 'P 3 2"'
loop_
_atom_site_label
_atom_site_fract_x
_atom_site_fract_y
_atom_site_fract_z
_atom_site_occupancy
Li1 0.0000 0.3655 0.0000 1
Li2 0.0000 0.7002 0.5000 1
Ge1 0.0000 0.0000 0.0000 1
Ge2 0.3333 0.6667 0.4900 1
F1 0.0972 0.2069 0.2233 1
F2 0.1271 0.5783 0.2649 1
F3 0.2224 0.4595 0.7142 1



Entry 5:
# meta-GGA r2SCAN V4OF11, optimized geometry
# ΔE_f = -3.17 eV per atom
# E above lowest polymorph = 0.3 kJ/mol of atoms
data_V4OF11
_chemical_formula_sum 'V4 O1 F11'
_cell_length_a 5.0507
_cell_length_b 5.3035
_cell_length_c 7.3692
_cell_angle_alpha 94.32
_cell_angle_beta 90.19
_cell_angle_gamma 90.63
_space_group_name_H-M_alt 'P 1'
_space_group_IT_number 1
_space_group_name_Hall 'P 1'
loop_
_atom_site_label
_atom_site_fract_x
_atom_site_fract_y
_atom_site_fract_z
_atom_site_occupancy
V1 0.0000 0.0000 0.0000 1
V2 0.0095 0.0152 0.5032 1
V3 0.4820 0.4889 0.5046 1
V4 0.5007 0.5010 0.0007 1
O1 0.2132 0.2903 0.5425 1
F1 0.1145 0.9834 0.2475 1
F2 0.1802 0.6884 0.9401 1
F3 0.2950 0.7971 0.5682 1
F4 0.3194 0.1876 0.9417 1
F5 0.3826 0.5038 0.2471 1
F6 0.6213 0.5006 0.7534 1
F7 0.6795 0.8154 0.0569 1
F8 0.7062 0.2052 0.4340 1
F9 0.7877 0.7087 0.4525 1
F10 0.8210 0.3123 0.0590 1
F11 0.8813 0.0116 0.7518 1



Entry 6:
# meta-GGA r2SCAN AlV3, optimized geometry
# ΔE_f = -0.17 eV per atom
data_AlV3
_chemical_formula_sum 'Al2 V6'
_cell_length_a 4.7896
_cell_length_b 4.7896
_cell_length_c 4.7896
_cell_angle_alpha 90.00
_cell_angle_beta 90.00
_cell_angle_gamma 90.00
_space_group_name_H-M_alt 'P m -3 n'
_space_group_IT_number 223
_space_group_name_Hall '-P 4n 2 3'
loop_
_atom_site_label
_atom_site_fract_x
_atom_site_fract_y
_atom_site_fract_z
_atom_site_occupancy
Al1 0.0000 0.0000 0.0000 1
V1 0.0000 0.2500 0.5000 1



Entry 7:
# meta-GGA r2SCAN EuSi2Rh2, optimized geometry
# ΔE_f = -1.06 eV per atom
data_EuSi2Rh2
_chemical_formula_sum 'Eu2 Si4 Rh4'
_cell_length_a 4.0975
_cell_length_b 4.0975
_cell_length_c 10.2374
_cell_angle_alpha 90.00
_cell_angle_beta 90.00
_cell_angle_gamma 90.00
_space_group_name_H-M_alt 'I 4/m m m'
_space_group_IT_number 139
_space_group_name_Hall '-I 4 2'
loop_
_atom_site_label
_atom_site_fract_x
_atom_site_fract_y
_atom_site_fract_z
_atom_site_occupancy
Eu1 0.0000 0.0000 0.0000 1
Si1 0.0000 0.0000 0.3702 1
Rh1 0.0000 0.5000 0.2500 1



Entry 8:
# meta-GGA r2SCAN Cs4Na2ScGaF12, optimized geometry
# ΔE_f = -3.31 eV per atom
data_Cs4Na2ScGaF12
_chemical_formula_sum 'Cs12 Na6 Sc3 Ga3 F36'
_cell_length_a 6.2828
_cell_length_b 6.2828
_cell_length_c 30.5691
_cell_angle_alpha 90.00
_cell_angle_beta 90.00
_cell_angle_gamma 120.00
_space_group_name_H-M_alt 'R -3 m'
_space_group_IT_number 166
_space_group_name_Hall '-R 3 2"'
loop_
_atom_site_label
_atom_site_fract_x
_atom_site_fract_y
_atom_site_fract_z
_atom_site_occupancy
Cs1 0.0000 0.0000 0.1287 1
Cs2 0.0000 0.0000 0.2804 1
Na1 0.0000 0.0000 0.4049 1
Sc1 0.0000 0.0000 0.0000 1
Ga1 0.0000 0.0000 0.5000 1
F1 0.0271 0.5135 0.7046 1
F2 0.0516 0.5258 0.1293 1



Which value of ΔE_f does entry 6 give? -0.17 eV per atom